# Ca3CoO6

An optimized crystal structure of Ca3CoO6 (GGA+U, Materials Project).

POSCAR file:
```
Ca3CoO6
1.0
-1.0055 6.1881 0.9796
1.4830 -0.4857 8.9989
8.6771 1.6248 -1.3522
O Ca Co
24 12 4
Direct
0.0730 0.6024 0.3325
0.7238 0.9994 0.9264
0.4267 0.3982 0.8327
0.4261 0.1815 0.3998
0.9263 0.1813 0.1009
0.5736 0.3189 0.1014
0.5739 0.8185 0.6002
0.2762 0.0006 0.0736
0.7761 0.0007 0.4261
0.4264 0.6811 0.8986
0.2239 0.9994 0.5739
0.2754 0.5019 0.5734
0.9253 0.8987 0.1669
0.0747 0.1013 0.8332
0.7246 0.4981 0.4266
0.5748 0.1012 0.6672
0.9270 0.3976 0.6675
0.5733 0.6018 0.1673
0.2236 0.4994 0.0729
0.0757 0.3193 0.3982
0.0737 0.8187 0.8991
0.7764 0.5006 0.9271
0.4252 0.8988 0.3328
0.9243 0.6807 0.6018
0.2488 0.7500 0.1478
0.2512 0.2503 0.6481
0.7512 0.2500 0.8522
0.4021 0.9304 0.8261
0.9022 0.9305 0.6735
0.5979 0.0696 0.1739
0.7488 0.7497 0.3519
0.0983 0.5695 0.8258
0.0978 0.0695 0.3265
0.4013 0.4310 0.3257
0.5987 0.5690 0.6743
0.9017 0.4305 0.1741
0.5000 0.0000 0.5000
0.5000 0.5000 0.0000
0.0000 0.5000 0.5000
0.0000 0.0000 0.0000
```

Summary:
E above lowest polymorph = 1.5 meV/atom
Formation energy from the elements = -221.8 kJ per mole of atoms
Crystal system = triclinic